Record 1
DFT (r²SCAN) results for a geometry-optimized CoF3 structure.

a = 5.1508 Å, b = 5.1343 Å, c = 8.2391 Å
α = 71.85°, β = 107.18°, γ = 89.99°
Closest atoms and distances in Å follow each position.
Element x y z (fractional)
F: 0.8186 0.3177 0.9896  2 Co 1.84-1.92
F: 0.9394 0.9249 0.5056  2 Co 1.84-1.92
F: 0.4311 0.0573 0.5103  2 Co 1.84-1.92
F: 0.1871 0.6863 0.0111  2 Co 1.85-1.92
F: 0.6950 0.8176 0.0063  2 Co 1.85-1.92
F: 0.3687 0.6148 0.7494  2 Co 1.85-1.87
F: 0.0629 0.4471 0.4889  2 Co 1.85-1.92
F: 0.5551 0.5738 0.4936  2 Co 1.85-1.91
F: 0.8813 0.1140 0.7506  2 Co 1.85-1.87
F: 0.6253 0.3602 0.2500  2 Co 1.88
F: 0.1250 0.8994 0.2500  2 Co 1.85
F: 0.3104 0.1807 0.9945  2 Co 1.84-1.92
Co: 0.0033 0.0017 0.0019  6 F 1.84-1.87
Co: 0.7499 0.2490 0.5030  6 F 1.85-1.92
Co: 0.2466 0.7534 0.4981  6 F 1.84-1.87
Co: 0.5001 0.5022 0.9971  6 F 1.85-1.92

Output
- symmetry = C2
- DFT formation energy (eV/atom) = -2.059



Record 2
DFT (r²SCAN) results for a geometry-optimized Np2SO9 structure.

a = 6.4477 Å, b = 6.8279 Å, c = 15.8353 Å
α = 90.00°, β = 90.00°, γ = 90.00°
Closest atoms and distances in Å follow each position.
Element x y z (fractional)
O: 0.4925 0.7500 0.9719  1 S 1.46
O: 0.3220 0.7500 0.7312  1 Np 1.82
O: 0.2050 0.5793 0.5780  1 S 1.48
O: 0.1780 0.7500 0.2312  1 Np 1.82
O: 0.6780 0.2500 0.2688  1 Np 1.82
O: 0.9487 0.0329 0.1493  1 Np 1.94
O: 0.1093 0.2500 0.3829  1 S 1.46
O: 0.7950 0.0793 0.4220  1 S 1.48
O: 0.5513 0.0329 0.6493  1 Np 1.94
O: 0.4487 0.9671 0.3507  1 Np 1.94
O: 0.0513 0.9671 0.8507  1 Np 1.94
O: 0.0661 0.2500 0.0008  1 Np 1.81
O: 0.7050 0.0793 0.9220  1 S 1.48
O: 0.2088 0.2500 0.7099  1 Np 1.80
O: 0.5661 0.7500 0.4992  1 Np 1.81
O: 0.8907 0.7500 0.6171  1 S 1.46
O: 0.2950 0.9207 0.0780  1 S 1.48
O: 0.2950 0.5793 0.0780  1 S 1.48
O: 0.9925 0.2500 0.5281  1 S 1.46
O: 0.4487 0.5329 0.3507  1 Np 1.94
O: 0.4339 0.2500 0.5008  1 Np 1.81
O: 0.7950 0.4207 0.4220  1 S 1.48
O: 0.7912 0.7500 0.2901  1 Np 1.80
O: 0.8220 0.2500 0.7688  1 Np 1.82
O: 0.9339 0.7500 0.9992  1 Np 1.81
O: 0.2050 0.9207 0.5780  1 S 1.48
O: 0.2912 0.2500 0.2099  1 Np 1.80
O: 0.9487 0.4671 0.1493  1 Np 1.94
O: 0.0075 0.7500 0.4719  1 S 1.46
O: 0.7050 0.4207 0.9220  1 S 1.48
O: 0.6093 0.7500 0.1171  1 S 1.46
O: 0.7088 0.7500 0.7901  1 Np 1.80
O: 0.0513 0.5329 0.8507  1 Np 1.94
O: 0.5075 0.2500 0.0281  1 S 1.46
O: 0.3907 0.2500 0.8829  1 S 1.46
O: 0.5513 0.4671 0.6493  1 Np 1.94
Np: 0.4673 0.2500 0.3450  3 O 1.82-1.94
Np: 0.0327 0.2500 0.8450  3 O 1.82-1.94
Np: 0.8212 0.7500 0.8945  2 O 1.80-1.81
Np: 0.6788 0.7500 0.3945  2 O 1.80-1.81
Np: 0.9673 0.7500 0.1550  3 O 1.82-1.94
Np: 0.5327 0.7500 0.6550  3 O 1.82-1.94
Np: 0.1788 0.2500 0.1055  2 O 1.80-1.81
Np: 0.3212 0.2500 0.6055  2 O 1.80-1.81
S: 0.9304 0.2500 0.4396  4 O 1.46-1.48
S: 0.0696 0.7500 0.5604  4 O 1.46-1.48
S: 0.5696 0.2500 0.9396  4 O 1.46-1.48
S: 0.4304 0.7500 0.0604  4 O 1.46-1.48

Output
- symmetry = Pnma
- DFT formation energy (eV/atom) = -2.429



Record 3
DFT (r²SCAN) results for a geometry-optimized NaTl2Bi structure.

a = 5.5538 Å, b = 5.5538 Å, c = 5.5538 Å
α = 60.00°, β = 60.00°, γ = 60.00°
Closest atoms and distances in Å follow each position.
Element x y z (fractional)
Tl: 0.5000 0.5000 0.5000  4 Na 3.40, 4 Bi 3.40
Tl: 0.0000 0.0000 0.0000  4 Na 3.40, 4 Bi 3.40
Na: 0.7500 0.7500 0.7500  8 Tl 3.40
Bi: 0.2500 0.2500 0.2500  8 Tl 3.40

Output
- symmetry = Fm-3m
- DFT formation energy (eV/atom) = -0.188



Record 4
DFT (r²SCAN) results for a geometry-optimized Pr3Sn structure.

a = 4.9828 Å, b = 4.9829 Å, c = 4.9828 Å
α = 90.00°, β = 90.00°, γ = 90.00°
Closest atoms and distances in Å follow each position.
Element x y z (fractional)
Sn: 0.0000 0.0000 0.0000  12 Pr 3.52
Pr: 0.5000 0.5000 0.0000  8 Pr 3.52, 4 Sn 3.52
Pr: 0.0000 0.5000 0.5000  8 Pr 3.52, 4 Sn 3.52
Pr: 0.5000 0.0000 0.5000  4 Sn 3.52, 8 Pr 3.52

Output
- symmetry = Pm-3m
- DFT formation energy (eV/atom) = -0.506



Q: Among the records above, which one has the highest DFT formation energy?
A: NaTl2Bi